This record from the Materials Project database describes a relaxed NbHg3F6 crystal. The functional is GGA-PBE.

Values from the calculation:
The calculation puts the total DFT energy (no corrections) at -4.314 eV per atom.

Lattice parameters (Å, degrees): 5.280 5.280 7.685 90.00 90.00 120.00
Sites, in units of the cell vectors:
F: 0.704 0.704 0.151
F: 0.000 0.704 0.849
F: 0.000 0.296 0.151
F: 0.704 0.000 0.849
F: 0.296 0.000 0.151
F: 0.296 0.296 0.849
Hg: 0.000 0.000 0.500
Hg: 0.667 0.333 0.500
Hg: 0.333 0.667 0.500
Nb: 0.000 0.000 0.000